[1]
UCrO4 | r2SCAN | relaxed

Computed properties:
**V**: 292.3 Å³/cell
**Calculated formation energy**: -18.9 eV per formula unit

a = 4.8652 Å, b = 5.0843 Å, c = 11.8175 Å
α = 90.00°, β = 90.00°, γ = 90.00°
Atoms (fractional coordinates):
1 U 0.0000 0.7500 0.8326
2 U 0.0000 0.2500 0.1674
3 U 0.5000 0.7500 0.3326
4 U 0.5000 0.2500 0.6674
5 Cr 0.5000 0.7500 0.0632
6 Cr 0.0000 0.2500 0.4368
7 Cr 0.5000 0.2500 0.9368
8 Cr 0.0000 0.7500 0.5632
9 O 0.7209 0.5949 0.1882
10 O 0.2747 0.9298 0.9482
11 O 0.7747 0.5702 0.4482
12 O 0.2791 0.4051 0.8118
13 O 0.7209 0.0949 0.8118
14 O 0.7253 0.5702 0.9482
15 O 0.2253 0.9298 0.4482
16 O 0.2791 0.9051 0.1882
17 O 0.2253 0.4298 0.5518
18 O 0.7791 0.5949 0.6882
19 O 0.7253 0.0702 0.0518
20 O 0.2209 0.9051 0.6882
21 O 0.2747 0.4298 0.0518
22 O 0.2209 0.4051 0.3118
23 O 0.7747 0.0702 0.5518
24 O 0.7791 0.0949 0.3118

---

[2]
YCrO4 | r2SCAN | relaxed

Computed properties:
**V**: 158.1 Å³/cell
**Calculated formation energy**: -17.0 eV per formula unit

a = 5.9210 Å, b = 5.9215 Å, c = 5.9215 Å
α = 106.18°, β = 106.18°, γ = 116.28°
Atoms (fractional coordinates):
1 O 0.2016 0.2679 0.5663
2 O 0.3646 0.7984 0.5662
3 O 0.6354 0.2016 0.4338
4 O 0.7984 0.7321 0.4337
5 O 0.7984 0.3647 0.0663
6 O 0.2679 0.2016 0.0663
7 O 0.2016 0.6353 0.9337
8 O 0.7321 0.7984 0.9337
9 Y 0.1250 0.8750 0.2500
10 Y 0.8750 0.1250 0.7500
11 Cr 0.3749 0.6250 0.7499
12 Cr 0.6251 0.3750 0.2501

---

[3]
YCrO4 | r2SCAN | relaxed

Computed properties:
**V**: 315.7 Å³/cell
**Calculated formation energy**: -17.0 eV per formula unit

a = 5.9357 Å, b = 5.9356 Å, c = 10.0076 Å
α = 90.00°, β = 90.00°, γ = 116.44°
Atoms (fractional coordinates):
1 O 0.4154 0.4882 0.7811
2 O 0.9196 0.4817 0.7142
3 O 0.5891 0.5110 0.2214
4 O 0.2390 0.1608 0.0284
5 O 0.2618 0.3345 0.4690
6 O 0.7610 0.3392 0.0284
7 O 0.7625 0.8401 0.9717
8 O 0.7317 0.6695 0.5359
9 O 0.0804 0.0183 0.7142
10 O 0.2375 0.6599 0.9717
11 O 0.7382 0.1655 0.4690
12 O 0.4108 0.9890 0.2215
13 O 0.0902 0.5126 0.2782
14 O 0.5846 0.0118 0.7811
15 O 0.2683 0.8305 0.5359
16 O 0.9098 0.9874 0.2782
17 Y 0.0000 0.7500 0.1250
18 Y 0.5000 0.7500 0.3748
19 Y 0.5000 0.2500 0.6250
20 Y 0.0000 0.2500 0.8752
21 Cr 0.5000 0.2500 0.1249
22 Cr 0.0000 0.2500 0.3738
23 Cr 0.0000 0.7500 0.6250
24 Cr 0.5000 0.7500 0.8763

---

[4]
YbCrO4 | r2SCAN | relaxed

Computed properties:
**V**: 150.6 Å³/cell
**Calculated formation energy**: -17.2 eV per formula unit

a = 5.8249 Å, b = 5.8249 Å, c = 5.8249 Å
α = 106.27°, β = 106.27°, γ = 116.08°
Atoms (fractional coordinates):
1 O 0.7594 0.0733 0.6861
2 O 0.8628 0.6767 0.1861
3 O 0.9267 0.6128 0.6861
4 O 0.3872 0.0733 0.3139
5 O 0.3233 0.5094 0.1861
6 O 0.3233 0.1372 0.8139
7 O 0.4906 0.6767 0.8139
8 O 0.9267 0.2406 0.3139
9 Cr 0.5000 0.5000 0.0000
10 Cr 0.7500 0.2500 0.5000
11 Yb 0.2500 0.7500 0.5000
12 Yb 0.0000 0.0000 0.0000